No. 1
Compound: Tb5Ir3
Source: Materials Project
Functional: r²SCAN
Structure: relaxed

Output
Total moment (Bohr magnetons per cell): 0.000
Offset from the most stable computed form (eV/atom): 0.050
Calculated volume (A^3/atom): 23.395
Raw total energy (eV/f.u.): -320.0
Formation enthalpy at 0 K (eV/atom): -0.85

Lattice parameters (Å, degrees): 8.2985 8.2985 6.2763 90.00 90.00 120.00
With the nearest neighbours (Å) after each atom.
Space group P6_3/mcm (No. 193)
One atom of each set of equivalent atoms:
Tb: 0.0000 0.2623 0.2500 x6  3 Ir 2.85-2.90
Tb: 0.3333 0.6667 0.0000 x4  6 Ir 3.01, 2 Tb 3.14
Ir: 0.0000 0.3880 0.7500 x6  7 Tb 2.85-3.01


No. 2
Compound: TbYIr2
Source: Materials Project
Functional: r²SCAN
Structure: relaxed

Output
Total moment (Bohr magnetons per cell): 1.070
Calculated volume (A^3/atom): 20.052
Raw total energy (eV/f.u.): -159.9
Formation enthalpy at 0 K (eV/atom): -0.90

Lattice parameters (Å, degrees): 6.8458 6.8458 6.8458 90.00 90.00 90.00
With the nearest neighbours (Å) after each atom.
Space group Fm-3m (No. 225)
One atom of each set of equivalent atoms:
Tb: 0.0000 0.0000 0.0000 x4  8 Ir 2.96
Y: 0.0000 0.0000 0.5000 x4  8 Ir 2.96
Ir: 0.2500 0.2500 0.2500 x8  4 Tb 2.96, 4 Y 2.96


No. 3
Compound: Tc3Ir
Source: Materials Project
Functional: r²SCAN
Structure: relaxed

Output
Total moment (Bohr magnetons per cell): 0.000
Calculated volume (A^3/atom): 14.197
Raw total energy (eV/f.u.): -131.3
Formation enthalpy at 0 K (eV/atom): -0.25

Lattice parameters (Å, degrees): 5.4957 5.4957 4.3420 90.00 90.00 120.00
With the nearest neighbours (Å) after each atom.
Space group P6_3/mmc (No. 194)
One atom of each set of equivalent atoms:
Tc: 0.1603 0.3206 0.2500 x6  8 Tc 2.64-2.85, 4 Ir 2.73-2.75
Ir: 0.3333 0.6667 0.7500 x2  12 Tc 2.73-2.75


No. 4
Compound: Zr2TcIr
Source: Materials Project
Functional: r²SCAN
Structure: relaxed

Output
Total moment (Bohr magnetons per cell): 0.000
Calculated volume (A^3/atom): 17.638
Raw total energy (eV/f.u.): -127.1
Formation enthalpy at 0 K (eV/atom): -0.82

Lattice parameters (Å, degrees): 6.5593 6.5593 6.5593 90.00 90.00 90.00
With the nearest neighbours (Å) after each atom.
Space group Fm-3m (No. 225)
One atom of each set of equivalent atoms:
Zr: 0.2500 0.2500 0.2500 x8  4 Tc 2.84, 4 Ir 2.84
Tc: 0.0000 0.0000 0.0000 x4  8 Zr 2.84
Ir: 0.0000 0.0000 0.5000 x4  8 Zr 2.84